The following is a DFT calculation (GGA-PBE) of a relaxed structure of Pr2Ta2O9.

The structure belongs to space group C2/m (No. 12); the cell edges are 15.649, 3.908 and 6.755 Å and the angles 90.00°, 112.45° and 90.00°. The distinct sites, in fractional coordinates, are Pr at (0.195, 0.000, 0.186), Ta at (0.039, 0.500, 0.805), O at (0.000, 0.500, 0.500), O at (0.047, 0.000, 0.840), O at (0.081, 0.500, 0.157), O at (0.175, 0.500, 0.920) and O at (0.219, 0.000, 0.562).

The value obtained for the volume is 190.9 Å³/f.u. For the formation energy, the calculation gives -314 kJ/mol of atoms. The calculation puts the total moment at 0.154 μB/atom. The value obtained for the total energy is -8.76 eV/atom.